Computed, not measured: an optimized crystal structure of Li4Nb3Fe3Ni2O16 at the GGA+U level of DFT.

Lattice parameters (Å, degrees): 10.564 6.104 9.816 90.00 90.35 90.00
Space group Cm (No. 8)
One atom of each set of equivalent atoms:
Li  0.000  0.000  0.000 [2 per cell]
Li  0.006  0.000  0.515 [2 per cell]
Li  0.176  0.500  0.884 [2 per cell]
Li  0.344  0.000  0.409 [2 per cell]
Nb  0.098  0.253  0.223 [4 per cell]
Nb  0.183  0.000  0.723 [2 per cell]
Fe  0.345  0.500  0.226 [2 per cell]
Fe  0.428  0.246  0.725 [4 per cell]
Ni  0.186  0.500  0.521 [2 per cell]
Ni  0.353  0.000  0.984 [2 per cell]
O  0.015  0.000  0.821 [2 per cell]
O  0.016  0.000  0.329 [2 per cell]
O  0.027  0.500  0.336 [2 per cell]
O  0.098  0.238  0.611 [4 per cell]
O  0.170  0.000  0.113 [2 per cell]
O  0.173  0.500  0.109 [2 per cell]
O  0.252  0.275  0.338 [4 per cell]
O  0.268  0.221  0.847 [4 per cell]
O  0.342  0.000  0.609 [2 per cell]
O  0.354  0.500  0.615 [2 per cell]
O  0.436  0.263  0.116 [4 per cell]
O  0.494  0.000  0.843 [2 per cell]

- Formation energy: -2.204 eV per atom
- Calculated total energy: -6.89 eV per atom

Computed, not measured: an optimized crystal structure of Li4Nb2Fe3Ni3O16 at the GGA+U level of DFT.

Lattice parameters (Å, degrees): 10.339 5.873 9.699 90.00 91.40 90.00
Space group Cm (No. 8)
One atom of each set of equivalent atoms:
Li  0.000  0.000  0.000 [2 per cell]
Li  0.001  0.000  0.502 [2 per cell]
Li  0.163  0.500  0.086 [2 per cell]
Li  0.338  0.000  0.593 [2 per cell]
Nb  0.172  0.500  0.499 [2 per cell]
Nb  0.329  0.000  0.996 [2 per cell]
Fe  0.329  0.500  0.774 [2 per cell]
Fe  0.412  0.245  0.273 [4 per cell]
Ni  0.086  0.253  0.777 [4 per cell]
Ni  0.169  0.000  0.279 [2 per cell]
O  0.003  0.000  0.690 [2 per cell]
O  0.023  0.500  0.656 [2 per cell]
O  0.080  0.252  0.404 [4 per cell]
O  0.158  0.000  0.895 [2 per cell]
O  0.161  0.500  0.877 [2 per cell]
O  0.246  0.276  0.646 [4 per cell]
O  0.258  0.226  0.146 [4 per cell]
O  0.333  0.500  0.397 [2 per cell]
O  0.337  0.000  0.382 [2 per cell]
O  0.409  0.251  0.901 [4 per cell]
O  0.479  0.000  0.147 [2 per cell]
O  0.498  0.500  0.188 [2 per cell]

- Formation energy: -1.981 eV per atom
- Calculated total energy: -6.42 eV per atom

Computed, not measured: an optimized crystal structure of Li4Nb3Fe2Ni3O16 at the GGA+U level of DFT.

Lattice parameters (Å, degrees): 10.383 6.058 9.796 90.00 90.97 90.00
Space group Cm (No. 8)
One atom of each set of equivalent atoms:
Li  0.000  0.000  0.000 [2 per cell]
Li  0.014  0.000  0.518 [2 per cell]
Li  0.160  0.500  0.103 [2 per cell]
Li  0.326  0.000  0.621 [2 per cell]
Nb  0.317  0.500  0.787 [2 per cell]
Nb  0.405  0.248  0.290 [4 per cell]
Fe  0.140  0.500  0.527 [2 per cell]
Fe  0.316  0.000  0.993 [2 per cell]
Ni  0.079  0.255  0.792 [4 per cell]
Ni  0.166  0.000  0.292 [2 per cell]
O  0.013  0.500  0.675 [2 per cell]
O  0.070  0.250  0.406 [4 per cell]
O  0.154  0.000  0.898 [2 per cell]
O  0.157  0.500  0.901 [2 per cell]
O  0.240  0.280  0.657 [4 per cell]
O  0.256  0.225  0.163 [4 per cell]
O  0.333  0.500  0.402 [2 per cell]
O  0.335  0.000  0.408 [2 per cell]
O  0.398  0.258  0.908 [4 per cell]
O  0.480  0.000  0.177 [2 per cell]
O  0.490  0.500  0.188 [2 per cell]
O  0.497  0.500  0.703 [2 per cell]

- Formation energy: -2.155 eV per atom
- Excess energy over the best structure of this formula in the dataset: 0.0084 eV/atom
- Calculated total energy: -6.74 eV per atom

Computed, not measured: an optimized crystal structure of Li4Nb3Fe2Ni3O16 at the GGA+U level of DFT.

Lattice parameters (Å, degrees): 6.052 6.061 9.750 91.25 90.37 119.84
Space group P1 (No. 1)
One atom of each set of equivalent atoms:
Li  0.000  0.000  0.000 [1 per cell]
Li  0.020  0.042  0.518 [1 per cell]
Li  0.354  0.717  0.418 [1 per cell]
Li  0.684  0.383  0.898 [1 per cell]
Nb  0.202  0.400  0.732 [1 per cell]
Nb  0.363  0.224  0.230 [1 per cell]
Nb  0.860  0.224  0.228 [1 per cell]
Fe  0.370  0.752  0.989 [1 per cell]
Fe  0.710  0.410  0.521 [1 per cell]
Ni  0.193  0.882  0.727 [1 per cell]
Ni  0.687  0.891  0.727 [1 per cell]
Ni  0.853  0.710  0.227 [1 per cell]
O  0.028  0.059  0.331 [1 per cell]
O  0.044  0.055  0.819 [1 per cell]
O  0.057  0.553  0.863 [1 per cell]
O  0.182  0.369  0.119 [1 per cell]
O  0.197  0.897  0.115 [1 per cell]
O  0.342  0.720  0.621 [1 per cell]
O  0.370  0.255  0.610 [1 per cell]
O  0.488  0.015  0.850 [1 per cell]
O  0.501  0.571  0.862 [1 per cell]
O  0.536  0.522  0.355 [1 per cell]
O  0.541  0.081  0.345 [1 per cell]
O  0.678  0.365  0.114 [1 per cell]
O  0.695  0.900  0.112 [1 per cell]
O  0.874  0.237  0.613 [1 per cell]
O  0.880  0.736  0.615 [1 per cell]
O  0.982  0.520  0.354 [1 per cell]

- Formation energy: -2.163 eV per atom
- Excess energy over the best structure of this formula in the dataset: 0.0000 eV/atom
- Calculated total energy: -6.74 eV per atom

Computed, not measured: an optimized crystal structure of Li3NbFe3O8 at the GGA+U level of DFT.

Lattice parameters (Å, degrees): 6.0553 6.0553 15.0394 90.00 90.00 120.00
Space group R-3m (No. 166, hexagonal axes)
One atom of each set of equivalent atoms:
Li  0.0000  0.5000  0.0000 [9 per cell]
Nb  0.0000  0.0000  0.5000 [3 per cell]
Fe  0.0000  0.5000  0.5000 [9 per cell]
O  0.0000  0.0000  0.2411 [6 per cell]
O  0.0141  0.5070  0.2416 [18 per cell]

- Formation energy: -2.087 eV per atom
- Excess energy over the best structure of this formula in the dataset: 0.0386 eV/atom
- Calculated total energy: -6.66 eV per atom

Computed, not measured: an optimized crystal structure of LiNbFeO4 at the GGA+U level of DFT.

Lattice parameters (Å, degrees): 6.234 6.238 10.739 90.61 106.45 119.54
Space group P-1 (No. 2)
One atom of each set of equivalent atoms:
Li  0.098  0.319  0.428 [2 per cell]
Li  0.107  0.832  0.929 [2 per cell]
Nb  0.009  0.281  0.770 [2 per cell]
Nb  0.491  0.261  0.271 [2 per cell]
Fe  0.490  0.243  0.750 [2 per cell]
Fe  0.500  0.000  0.500 [1 per cell]
Fe  0.500  0.500  0.000 [1 per cell]
O  0.232  0.151  0.855 [2 per cell]
O  0.236  0.614  0.864 [2 per cell]
O  0.239  0.392  0.640 [2 per cell]
O  0.249  0.899  0.141 [2 per cell]
O  0.250  0.126  0.364 [2 per cell]
O  0.254  0.671  0.365 [2 per cell]
O  0.293  0.876  0.644 [2 per cell]
O  0.306  0.384  0.134 [2 per cell]

- Formation energy: -2.455 eV per atom
- Excess energy over the best structure of this formula in the dataset: 0.0411 eV/atom
- Calculated total energy: -7.49 eV per atom

Question: What is the formula in the sixth record?
Answer: LiNbFeO4

Question: Among the records above, which one has the highest calculated total energy?
Answer: Li4Nb2Fe3Ni3O16